[1]
Sr2CoWO6: optimized geometry, GGA+U.

crystal system	monoclinic
formation energy from the elements	-2.607	eV/atom
total DFT energy (no corrections)	-69.01	eV per formula unit

a = 5.7229 Å, b = 5.6789 Å, c = 9.8083 Å
α = 90.00°, β = 125.60°, γ = 90.00°
Last column: nearest neighbours and their distance in Å.
Fractional coordinates of all 20 atoms:
Sr  0.2475  0.0088  0.2514  6 O 2.54-2.79
Sr  0.2475  0.4912  0.7514  6 O 2.54-2.79
Sr  0.7525  0.5088  0.2486  6 O 2.54-2.79
Sr  0.7525  0.9912  0.7486  6 O 2.54-2.79
Co  0.5000  0.0000  0.0000  6 O 2.08-2.11
Co  0.5000  0.5000  0.5000  6 O 2.08-2.11
W  0.0000  0.0000  0.5000  6 O 1.95-1.96
W  0.0000  0.5000  0.0000  6 O 1.95-1.96
O  0.1975  0.2491  0.9680  1 W 1.95, 1 Co 2.11
O  0.1975  0.2509  0.4680  1 W 1.95, 1 Co 2.11
O  0.2165  0.7315  0.9687  1 W 1.95, 1 Co 2.11
O  0.2165  0.7685  0.4687  1 W 1.95, 1 Co 2.11
O  0.3021  0.0039  0.7422  1 W 1.96, 1 Co 2.08
O  0.3021  0.4961  0.2422  1 W 1.96, 1 Co 2.08
O  0.6979  0.5039  0.7578  1 W 1.96, 1 Co 2.08
O  0.6979  0.9961  0.2578  1 W 1.96, 1 Co 2.08
O  0.7835  0.2315  0.5313  1 W 1.95, 1 Co 2.11
O  0.7835  0.2685  0.0313  1 W 1.95, 1 Co 2.11
O  0.8025  0.7491  0.5320  1 W 1.95, 1 Co 2.11
O  0.8025  0.7509  0.0320  1 W 1.95, 1 Co 2.11

=====

[2]
Sr2CoWO6: optimized geometry, GGA+U.

crystal system	monoclinic
formation energy from the elements	-2.594	eV/atom
total DFT energy (no corrections)	-68.88	eV per formula unit

a = 5.6824 Å, b = 5.6824 Å, c = 5.6980 Å
α = 119.97°, β = 119.97°, γ = 60.06°
Last column: nearest neighbours and their distance in Å.
Fractional coordinates of all 10 atoms:
Sr  0.2496  0.2496  0.2489  12 O 2.84-2.85
Sr  0.7504  0.7504  0.7511  12 O 2.84-2.85
Co  0.5000  0.5000  0.0000  6 O 2.07-2.08
W  0.0000  0.0000  0.5000  6 O 1.95
O  0.2422  0.2422  0.7424  1 W 1.95, 1 Co 2.07
O  0.2417  0.7584  0.2583  1 W 1.95, 1 Co 2.08
O  0.2416  0.7583  0.7417  1 W 1.95, 1 Co 2.08
O  0.7584  0.2417  0.2583  1 W 1.95, 1 Co 2.08
O  0.7583  0.2416  0.7417  1 W 1.95, 1 Co 2.08
O  0.7578  0.7578  0.2576  1 W 1.95, 1 Co 2.07

=====

[3]
Sr3Co2WO9: optimized geometry, GGA+U.

crystal system	orthorhombic
formation energy from the elements	-2.362	eV/atom
total DFT energy (no corrections)	-98.30	eV per formula unit

a = 9.6983 Å, b = 9.6983 Å, c = 9.6983 Å
α = 146.53°, β = 131.61°, γ = 60.12°
Last column: nearest neighbours and their distance in Å.
Fractional coordinates of all 30 atoms:
Sr  0.0805  0.3397  0.7408  12 O 2.70-2.93
Sr  0.2350  0.0000  0.2350  12 O 2.71-2.90
Sr  0.4011  0.6603  0.7408  12 O 2.70-2.93
Sr  0.5989  0.3397  0.2592  12 O 2.70-2.93
Sr  0.7650  0.0000  0.7650  12 O 2.71-2.90
Sr  0.9195  0.6603  0.2592  12 O 2.70-2.93
Co  0.0000  0.5000  0.5000  6 O 1.91-2.10
Co  0.1616  0.1616  0.0000  6 O 1.98-2.06
Co  0.5000  0.5000  0.0000  6 O 1.87-2.02
Co  0.8384  0.8384  0.0000  6 O 1.98-2.06
W  0.3320  0.8320  0.5000  6 O 1.93-1.94
W  0.6680  0.1680  0.5000  6 O 1.93-1.94
O  0.0801  0.3369  0.2569  2 Co 1.91-1.98
O  0.0801  0.8232  0.7431  2 Co 1.91-1.98
O  0.0916  0.8348  0.2568  1 W 1.93, 1 Co 2.04
O  0.2500  0.5048  0.2547  1 W 1.94, 1 Co 2.06
O  0.2500  0.9953  0.7453  1 W 1.94, 1 Co 2.06
O  0.2643  0.5000  0.7643  1 Co 1.87
O  0.4137  0.1607  0.7469  1 W 1.94, 1 Co 2.02
O  0.4137  0.6668  0.2531  1 W 1.94, 1 Co 2.02
O  0.4220  0.1652  0.2568  1 W 1.93, 1 Co 2.04
O  0.5780  0.8348  0.7432  1 W 1.93, 1 Co 2.04
O  0.5863  0.3332  0.7469  1 W 1.94, 1 Co 2.02
O  0.5863  0.8393  0.2531  1 W 1.94, 1 Co 2.02
O  0.7357  0.5000  0.2357  1 Co 1.87
O  0.7500  0.0047  0.2547  1 W 1.94, 1 Co 2.06
O  0.7500  0.4952  0.7453  1 W 1.94, 1 Co 2.06
O  0.9084  0.1652  0.7432  1 W 1.93, 1 Co 2.04
O  0.9199  0.1768  0.2569  2 Co 1.91-1.98
O  0.9199  0.6631  0.7431  2 Co 1.91-1.98

=====

[4]
Sr2Y2Co2O7: optimized geometry, GGA+U.

crystal system	orthorhombic
formation energy from the elements	-2.693	eV/atom
total DFT energy (no corrections)	-92.08	eV per formula unit

a = 12.6807 Å, b = 12.6807 Å, c = 12.6807 Å
α = 36.22°, β = 154.42°, γ = 154.79°
Last column: nearest neighbours and their distance in Å.
Fractional coordinates of all 26 atoms:
Sr  0.0212  0.1403  0.1615  6 O 2.53-2.74
Sr  0.0212  0.3597  0.3810  6 O 2.53-2.74
Sr  0.9788  0.6403  0.6190  6 O 2.53-2.74
Sr  0.9788  0.8597  0.8385  6 O 2.53-2.74
Y  0.0100  0.0100  0.0000  8 O 2.38-2.53
Y  0.0100  0.5100  0.5000  8 O 2.38-2.53
Y  0.4157  0.7122  0.2035  4 O 2.16-2.22
Y  0.5087  0.2122  0.7965  4 O 2.16-2.22
Co  0.5058  0.5846  0.0719  5 O 1.98-2.16
Co  0.5058  0.9339  0.4212  5 O 1.98-2.16
Co  0.5127  0.0846  0.5788  5 O 1.98-2.16
Co  0.5127  0.4339  0.9281  5 O 1.98-2.16
O  0.0114  0.3325  0.8023  2 Co 1.98-1.99
O  0.0114  0.7091  0.1790  2 Co 1.98-1.99
O  0.0137  0.1938  0.7013  2 Co 2.00-2.04
O  0.0137  0.8124  0.3199  2 Co 2.00-2.04
O  0.1369  0.8121  0.8248  2 Y 2.20-2.22
O  0.4920  0.1966  0.6238  1 Co 2.16, 1 Y 2.16
O  0.4920  0.3682  0.7954  1 Co 2.16, 1 Y 2.16
O  0.4925  0.3124  0.2987  2 Co 2.00-2.04
O  0.4925  0.6938  0.6801  2 Co 2.00-2.04
O  0.5302  0.2091  0.1977  2 Co 1.98-1.99
O  0.5302  0.8325  0.8210  2 Co 1.98-1.99
O  0.5728  0.6966  0.2046  1 Co 2.16, 1 Y 2.16
O  0.5728  0.8682  0.3762  1 Co 2.16, 1 Y 2.16
O  0.9873  0.3121  0.1752  2 Y 2.20-2.22

=====

[5]
Sr2YCo2O7: optimized geometry, GGA+U.

crystal system	orthorhombic
formation energy from the elements	-2.250	eV/atom
total DFT energy (no corrections)	-77.61	eV per formula unit

a = 12.6229 Å, b = 12.6229 Å, c = 12.6229 Å
α = 155.34°, β = 34.96°, γ = 155.61°
Last column: nearest neighbours and their distance in Å.
Fractional coordinates of all 24 atoms:
Sr  0.2162  0.0425  0.1738  6 O 2.53-2.76
Sr  0.3687  0.0425  0.3262  6 O 2.53-2.76
Sr  0.6313  0.9575  0.6738  6 O 2.53-2.76
Sr  0.7838  0.9575  0.8262  6 O 2.53-2.76
Y  0.0000  0.0000  0.0000  8 O 2.32-2.43
Y  0.5000  0.0000  0.5000  8 O 2.32-2.43
Co  0.0728  0.4896  0.5831  3 O 1.76-1.97
Co  0.4065  0.4896  0.9169  3 O 1.76-1.97
Co  0.5935  0.5104  0.0831  3 O 1.76-1.97
Co  0.9272  0.5104  0.4169  3 O 1.76-1.97
O  0.1175  0.4614  0.6561  1 Co 1.76
O  0.1947  0.0000  0.6947  2 Co 1.97
O  0.1947  0.5000  0.1947  2 Co 1.97
O  0.3053  0.4614  0.8439  1 Co 1.76
O  0.3131  0.0000  0.8131  2 Co 1.99
O  0.3131  0.5000  0.3131  2 Co 1.99
O  0.5000  0.0000  0.0000  4 Sr 2.53, 2 O 2.70
O  0.5000  0.5000  0.5000  4 Sr 2.53, 2 O 2.70
O  0.6869  0.0000  0.1869  2 Co 1.99
O  0.6869  0.5000  0.6869  2 Co 1.99
O  0.6947  0.5386  0.1561  1 Co 1.76
O  0.8053  0.0000  0.3053  2 Co 1.97
O  0.8053  0.5000  0.8053  2 Co 1.97
O  0.8825  0.5386  0.3439  1 Co 1.76

=====

[6]
Sr3YCo2O8: optimized geometry, GGA+U.

crystal system	orthorhombic
formation energy from the elements	-2.530	eV/atom
total DFT energy (no corrections)	-91.99	eV per formula unit

a = 5.3731 Å, b = 6.7770 Å, c = 6.7770 Å
α = 47.06°, β = 90.00°, γ = 90.00°
Last column: nearest neighbours and their distance in Å.
Fractional coordinates of all 14 atoms:
Sr  0.0000  0.0000  0.0000  9 O 2.51-2.71
Sr  0.0000  0.2879  0.2879  9 O 2.48-2.73
Sr  0.5000  0.7899  0.7899  5 O 2.39-2.63
Y  0.5000  0.5099  0.5099  5 O 2.25-2.45
Co  0.0000  0.6448  0.6448  6 O 1.90-1.96
Co  0.5000  0.1428  0.1428  5 O 1.92-1.99
O  0.0000  0.4872  0.4872  1 Co 1.96
O  0.0000  0.7981  0.7981  1 Co 1.91
O  0.2563  0.3989  0.8801  2 Co 1.90-1.92
O  0.2563  0.8801  0.3989  2 Co 1.90-1.92
O  0.5000  0.3291  0.3291  1 Y 2.25, 1 Co 2.31
O  0.5000  0.9823  0.9823  1 Co 1.99
O  0.7437  0.3989  0.8801  2 Co 1.90-1.92
O  0.7437  0.8801  0.3989  2 Co 1.90-1.92

=====

[7]
Sr2YCoO6: optimized geometry, GGA+U.

formation energy from the elements	-2.579	eV/atom
total DFT energy (no corrections)	-66.67	eV per formula unit

a = 5.7904 Å, b = 9.9860 Å, c = 9.8540 Å
α = 79.17°, β = 90.01°, γ = 106.86°
Last column: nearest neighbours and their distance in Å.
Fractional coordinates of all 40 atoms:
Sr  0.6873  0.3748  0.4375  12 O 2.86-2.90
Sr  0.4375  0.8751  0.1875  12 O 2.86-2.91
Sr  0.1874  0.3749  0.9375  12 O 2.86-2.90
Sr  0.9375  0.8751  0.6875  12 O 2.86-2.91
Sr  0.3124  0.6249  0.5625  12 O 2.86-2.90
Sr  0.0626  0.1252  0.3125  12 O 2.86-2.90
Sr  0.8126  0.6248  0.0625  12 O 2.86-2.91
Sr  0.5626  0.1252  0.8125  12 O 2.86-2.90
Y  0.1250  0.2500  0.6250  6 O 2.19-2.20
Y  0.8750  0.7500  0.3750  6 O 2.19-2.20
Y  0.6250  0.2501  0.1250  6 O 2.19-2.20
Y  0.3750  0.7499  0.8750  6 O 2.19-2.20
Co  0.4999  0.9998  0.5000  6 O 1.78-1.91
Co  0.2501  0.5001  0.2501  6 O 1.78-1.91
Co  0.7501  0.5002  0.7499  6 O 1.78-1.91
Co  0.9999  0.9998  0.0000  6 O 1.78-1.91
O  0.8059  0.6117  0.5821  1 Co 1.78
O  0.5559  0.1120  0.3323  1 Co 1.78
O  0.3057  0.6117  0.0821  1 Co 1.78
O  0.0559  0.1119  0.8323  1 Co 1.78
O  0.1942  0.3881  0.4177  1 Co 1.78
O  0.9442  0.8883  0.1678  1 Co 1.78
O  0.6940  0.3881  0.9177  1 Co 1.78
O  0.4442  0.8882  0.6678  1 Co 1.78
O  0.7910  0.1164  0.5582  1 Co 1.91
O  0.5410  0.6164  0.3083  1 Co 1.91
O  0.2910  0.1164  0.0582  1 Co 1.91
O  0.0410  0.6165  0.8082  1 Co 1.91
O  0.4589  0.3837  0.6918  1 Co 1.91
O  0.2090  0.8835  0.4418  1 Co 1.91
O  0.9590  0.3837  0.1917  1 Co 1.91
O  0.7090  0.8835  0.9418  1 Co 1.91
O  0.3253  0.1164  0.5582  1 Co 1.91
O  0.0755  0.6165  0.3082  1 Co 1.91
O  0.8253  0.1164  0.0582  1 Co 1.91
O  0.5755  0.6165  0.8082  1 Co 1.91
O  0.9247  0.3836  0.6918  1 Co 1.91
O  0.6745  0.8835  0.4418  1 Co 1.91
O  0.4247  0.3836  0.1918  1 Co 1.91
O  0.1745  0.8835  0.9418  1 Co 1.91

=====

[8]
Sr3ZnCoO6: optimized geometry, GGA+U.

crystal system	trigonal
formation energy from the elements	-2.390	eV/atom
energy above the most stable polymorph in this dataset	0.02	eV/f.u.
total DFT energy (no corrections)	-63.66	eV per formula unit

a = 6.6499 Å, b = 6.6499 Å, c = 6.6499 Å
α = 92.69°, β = 92.69°, γ = 92.69°
Last column: nearest neighbours and their distance in Å.
Fractional coordinates of all 22 atoms:
Sr  0.1157  0.7500  0.3843  8 O 2.54-2.71
Sr  0.2500  0.6157  0.8843  8 O 2.54-2.71
Sr  0.3843  0.1157  0.7500  8 O 2.54-2.71
Sr  0.6157  0.8843  0.2500  8 O 2.54-2.71
Sr  0.7500  0.3843  0.1157  8 O 2.54-2.71
Sr  0.8843  0.2500  0.6157  8 O 2.54-2.71
Zn  0.2500  0.2500  0.2500  6 O 2.20
Zn  0.7500  0.7500  0.7500  6 O 2.20
Co  0.0000  0.0000  0.0000  6 O 1.94
Co  0.5000  0.5000  0.5000  6 O 1.94
O  0.0412  0.9142  0.7233  1 Co 1.94
O  0.0858  0.2767  0.9588  1 Co 1.94
O  0.2233  0.4142  0.5412  1 Co 1.94
O  0.2767  0.9588  0.0858  1 Co 1.94
O  0.4142  0.5412  0.2233  1 Co 1.94
O  0.4588  0.7767  0.5858  1 Co 1.94
O  0.5412  0.2233  0.4142  1 Co 1.94
O  0.5858  0.4588  0.7767  1 Co 1.94
O  0.7233  0.0412  0.9142  1 Co 1.94
O  0.7767  0.5858  0.4588  1 Co 1.94
O  0.9142  0.7233  0.0412  1 Co 1.94
O  0.9588  0.0858  0.2767  1 Co 1.94

=====

Short version: total magnetic moment = 6.00; 3.00; 10.00; 4.00; 7.64; 4.00; 0.00; 2.00 Bohr magnetons per cell, in the order given.